1.
Entry from Materials Project: Li2AlPd after structural relaxation (PBE-GGA).

Output
As for the formation energy: -0.5308 eV/atom.

Lattice parameters (Å, degrees): 4.319 4.319 4.319 60.00 60.00 60.00
Sites, in units of the cell vectors:
Li  0.250  0.250  0.250
Li  0.500  0.500  0.500
Pd  0.750  0.750  0.750
Al  0.000  0.000  0.000

---

2.
Entry from Materials Project: MgAg5 after structural relaxation (PBE-GGA).

Output
As for the formation energy: -0.1038 eV/atom.

Lattice parameters (Å, degrees): 5.649 5.649 5.649 53.65 53.65 53.65
Sites, in units of the cell vectors:
Ag  0.333  0.000  0.667
Ag  0.000  0.667  0.333
Ag  0.833  0.833  0.833
Ag  0.667  0.333  0.000
Ag  0.167  0.167  0.167
Mg  0.500  0.500  0.500

---

3.
Entry from Materials Project: Ta3Co5B2 after structural relaxation (PBE-GGA).

Output
As for the formation energy: -0.3875 eV/atom.

Lattice parameters (Å, degrees): 8.398 8.398 3.248 90.00 90.00 90.00
Sites, in units of the cell vectors:
B  0.118  0.382  0.000
B  0.618  0.118  0.000
B  0.882  0.618  0.000
B  0.382  0.882  0.000
Ta  0.325  0.175  0.000
Ta  0.000  0.000  0.000
Ta  0.175  0.675  0.000
Ta  0.825  0.325  0.000
Ta  0.500  0.500  0.000
Ta  0.675  0.825  0.000
Co  0.070  0.220  0.500
Co  0.000  0.500  0.500
Co  0.570  0.280  0.500
Co  0.430  0.720  0.500
Co  0.220  0.930  0.500
Co  0.780  0.070  0.500
Co  0.720  0.570  0.500
Co  0.500  0.000  0.500
Co  0.930  0.780  0.500
Co  0.280  0.430  0.500

---

4.
Entry from Materials Project: NaTa3ZnP6O24 after structural relaxation (PBE-GGA).

Output
As for the formation energy: -2.8801 eV/atom. Its MP2020-corrected energy is -8.29 eV/atom.

Lattice parameters (Å, degrees): 8.745 8.745 22.697 90.00 90.00 120.00
Sites, in units of the cell vectors:
O  0.628  0.496  0.919
O  0.833  0.801  0.305
O  0.503  0.641  0.573
O  0.218  0.173  0.806
O  0.968  0.167  0.305
O  0.026  0.827  0.696
O  0.172  0.974  0.196
O  0.504  0.856  0.361
O  0.839  0.524  0.737
O  0.528  0.837  0.758
O  0.192  0.018  0.596
O  0.798  0.963  0.406
O  0.843  0.292  0.526
O  0.199  0.032  0.305
O  0.451  0.288  0.029
O  0.476  0.315  0.737
O  0.139  0.642  0.077
O  0.497  0.133  0.637
O  0.165  0.202  0.406
O  0.164  0.695  0.471
O  0.801  0.974  0.696
O  0.305  0.469  0.471
O  0.685  0.161  0.737
O  0.503  0.861  0.077
O  0.639  0.136  0.419
O  0.039  0.201  0.915
O  0.037  0.835  0.406
O  0.867  0.364  0.637
O  0.144  0.647  0.361
O  0.161  0.468  0.260
O  0.864  0.505  0.139
O  0.636  0.503  0.637
O  0.799  0.838  0.915
O  0.160  0.476  0.972
O  0.694  0.528  0.242
O  0.981  0.808  0.097
O  0.350  0.856  0.861
O  0.163  0.691  0.758
O  0.192  0.173  0.097
O  0.955  0.782  0.806
O  0.307  0.839  0.260
O  0.449  0.157  0.526
O  0.506  0.650  0.861
O  0.833  0.306  0.242
O  0.712  0.163  0.029
O  0.837  0.549  0.029
O  0.144  0.494  0.861
O  0.497  0.361  0.419
O  0.495  0.359  0.139
O  0.531  0.836  0.471
O  0.708  0.551  0.526
O  0.868  0.372  0.919
O  0.641  0.136  0.139
O  0.827  0.019  0.097
O  0.864  0.503  0.419
O  0.532  0.693  0.260
O  0.026  0.198  0.196
O  0.802  0.828  0.196
O  0.524  0.684  0.972
O  0.353  0.496  0.361
O  0.982  0.174  0.596
O  0.138  0.497  0.573
O  0.162  0.961  0.915
O  0.309  0.472  0.758
O  0.359  0.862  0.573
O  0.472  0.167  0.242
O  0.358  0.497  0.077
O  0.504  0.132  0.919
O  0.827  0.045  0.806
O  0.316  0.840  0.972
O  0.826  0.808  0.596
O  0.173  0.199  0.696
P  0.954  0.619  0.081
P  0.339  0.384  0.417
P  0.949  0.328  0.581
P  0.041  0.374  0.916
P  0.333  0.959  0.916
P  0.616  0.955  0.417
P  0.665  0.046  0.081
P  0.999  0.714  0.752
P  0.286  0.285  0.752
P  0.997  0.284  0.251
P  0.286  0.003  0.251
P  0.379  0.051  0.581
P  0.716  0.714  0.251
P  0.045  0.661  0.417
P  0.626  0.667  0.916
P  0.672  0.621  0.581
P  0.715  0.001  0.752
P  0.381  0.335  0.081
Zn  0.667  0.333  0.482
Zn  0.667  0.333  0.976
Zn  0.000  0.000  0.854
Ta  0.333  0.667  0.311
Ta  0.333  0.667  0.811
Ta  0.000  0.000  0.360
Ta  0.000  0.000  0.647
Ta  0.333  0.667  0.019
Ta  0.000  0.000  0.144
Ta  0.667  0.333  0.688
Ta  0.333  0.667  0.527
Ta  0.667  0.333  0.185
Na  0.667  0.333  0.343
Na  0.000  0.000  0.986
Na  0.667  0.333  0.843

---

5.
Entry from Materials Project: PmEuZn2 after structural relaxation (PBE-GGA).

Output
As for the formation energy: -0.2852 eV/atom.

Lattice parameters (Å, degrees): 5.207 5.207 5.207 60.00 60.00 60.00
Sites, in units of the cell vectors:
Eu  0.000  0.000  0.000
Zn  0.250  0.250  0.250
Zn  0.750  0.750  0.750
Pm  0.500  0.500  0.500

---

6.
Entry from Materials Project: MnHg after structural relaxation (PBE-GGA).

Output
As for the formation energy: 0.3327 eV/atom.

Lattice parameters (Å, degrees): 3.331 3.331 3.331 90.00 90.00 90.00
Sites, in units of the cell vectors:
Mn  0.500  0.500  0.500
Hg  0.000  0.000  0.000

---

7.
Entry from Materials Project: MgTiVS4 after structural relaxation (PBE-GGA).

Output
As for the formation energy: -1.4572 eV/atom. Its MP2020-corrected energy is -6.48 eV/atom.

Lattice parameters (Å, degrees): 7.396 7.277 7.277 59.35 59.48 59.48
Sites, in units of the cell vectors:
Ti  0.500  0.000  0.500
Ti  0.500  0.500  0.000
S  0.740  0.283  0.737
S  0.260  0.717  0.263
S  0.740  0.741  0.741
S  0.278  0.741  0.741
S  0.260  0.259  0.259
S  0.722  0.259  0.259
S  0.740  0.737  0.283
S  0.260  0.263  0.717
Mg  0.126  0.124  0.124
Mg  0.874  0.876  0.876
V  0.500  0.500  0.500
V  0.000  0.500  0.500

---

8.
Entry from Materials Project: LiB after structural relaxation (PBE-GGA).

Output
As for the formation energy: 0.4537 eV/atom.

Lattice parameters (Å, degrees): 7.304 3.084 13.543 90.00 90.00 90.00
Sites, in units of the cell vectors:
Li  0.289  0.750  0.000
Li  0.218  0.250  0.500
Li  0.782  0.750  0.500
Li  0.711  0.250  0.000
B  0.485  0.750  0.500
B  0.000  0.000  0.000
B  0.515  0.250  0.500
B  0.000  0.500  0.000

---

9.
Entry from Materials Project: Hf8GeMo5 after structural relaxation (PBE-GGA).

Output
As for the formation energy: -0.1311 eV/atom.

Lattice parameters (Å, degrees): 8.472 8.470 8.788 90.00 90.00 61.64
Sites, in units of the cell vectors:
Mo  0.779  0.107  0.250
Mo  0.998  0.998  0.501
Mo  0.107  0.779  0.250
Mo  0.220  0.893  0.750
Mo  0.887  0.887  0.750
Mo  0.524  0.946  0.750
Mo  0.110  0.110  0.250
Mo  0.946  0.524  0.750
Mo  0.893  0.220  0.750
Mo  0.998  0.998  0.999
Hf  0.396  0.807  0.459
Hf  0.794  0.794  0.028
Hf  0.194  0.605  0.953
Hf  0.605  0.194  0.547
Hf  0.605  0.194  0.953
Hf  0.468  0.070  0.250
Hf  0.551  0.550  0.750
Hf  0.070  0.468  0.250
Hf  0.460  0.460  0.250
Hf  0.807  0.395  0.459
Hf  0.396  0.807  0.041
Hf  0.194  0.605  0.547
Hf  0.199  0.199  0.951
Hf  0.199  0.199  0.549
Hf  0.794  0.794  0.472
Hf  0.807  0.395  0.041
Ge  0.664  0.664  0.250
Ge  0.337  0.337  0.750

---

10.
Entry from Materials Project: ErAgS2 after structural relaxation (PBE-GGA).

Output
As for the formation energy: -1.5328 eV/atom. Its MP2020-corrected energy is -5.45 eV/atom.

Lattice parameters (Å, degrees): 6.602 6.602 6.602 35.16 35.16 35.16
Sites, in units of the cell vectors:
Er  0.500  0.500  0.500
S  0.754  0.754  0.754
S  0.246  0.246  0.246
Ag  0.000  0.000  0.000

---

11.
Entry from Materials Project: Na3Sb5O14 after structural relaxation (PBE-GGA).

Output
As for the formation energy: -1.9017 eV/atom. Its MP2020-corrected energy is -6.17 eV/atom.

Lattice parameters (Å, degrees): 7.217 7.411 24.416 90.00 90.00 90.00
Sites, in units of the cell vectors:
O  0.837  0.000  0.982
O  0.020  0.000  0.143
O  0.834  0.000  0.596
O  0.500  0.820  0.000
O  0.308  0.500  0.621
O  0.962  0.741  0.072
O  0.337  0.000  0.518
O  0.242  0.270  0.215
O  0.137  0.317  0.819
O  0.038  0.741  0.928
O  0.692  0.500  0.379
O  0.363  0.683  0.319
O  0.962  0.259  0.072
O  0.242  0.730  0.215
O  0.742  0.730  0.285
O  0.344  0.197  0.106
O  0.166  0.000  0.404
O  0.637  0.683  0.681
O  0.163  0.000  0.018
O  0.742  0.270  0.285
O  0.656  0.197  0.894
O  0.363  0.317  0.319
O  0.863  0.317  0.181
O  0.455  0.500  0.783
O  0.980  0.000  0.857
O  0.545  0.500  0.217
O  0.863  0.683  0.181
O  0.156  0.197  0.606
O  0.480  0.000  0.643
O  0.344  0.803  0.106
O  0.844  0.197  0.394
O  0.045  0.500  0.283
O  0.500  0.180  0.000
O  0.000  0.180  0.500
O  0.520  0.000  0.357
O  0.137  0.683  0.819
O  0.656  0.803  0.894
O  0.955  0.500  0.717
O  0.538  0.741  0.572
O  0.808  0.500  0.879
O  0.156  0.803  0.606
O  0.192  0.500  0.121
O  0.663  0.000  0.482
O  0.258  0.730  0.715
O  0.000  0.820  0.500
O  0.844  0.803  0.394
O  0.637  0.317  0.681
O  0.758  0.730  0.785
O  0.462  0.259  0.428
O  0.334  0.000  0.904
O  0.538  0.259  0.572
O  0.258  0.270  0.715
O  0.038  0.259  0.928
O  0.758  0.270  0.785
O  0.666  0.000  0.096
O  0.462  0.741  0.428
Sb  0.409  0.000  0.439
Sb  0.893  0.264  0.854
Sb  0.607  0.736  0.354
Sb  0.893  0.736  0.854
Sb  0.578  0.000  0.942
Sb  0.393  0.736  0.646
Sb  0.191  0.500  0.758
Sb  0.393  0.264  0.646
Sb  0.607  0.264  0.354
Sb  0.809  0.500  0.242
Sb  0.591  0.000  0.561
Sb  0.691  0.500  0.742
Sb  0.078  0.000  0.558
Sb  0.909  0.000  0.061
Sb  0.107  0.264  0.146
Sb  0.091  0.000  0.939
Sb  0.922  0.000  0.442
Sb  0.309  0.500  0.258
Sb  0.422  0.000  0.058
Sb  0.107  0.736  0.146
Na  0.692  0.000  0.193
Na  0.305  0.500  0.529
Na  0.192  0.000  0.307
Na  0.695  0.500  0.471
Na  0.808  0.000  0.693
Na  0.805  0.500  0.971
Na  0.075  0.500  0.374
Na  0.425  0.500  0.874
Na  0.195  0.500  0.029
Na  0.308  0.000  0.807
Na  0.575  0.500  0.126
Na  0.925  0.500  0.626

---

12.
Entry from Materials Project: SiTc3 after structural relaxation (PBE-GGA).

Output
As for the formation energy: -0.1091 eV/atom.

Lattice parameters (Å, degrees): 5.411 5.411 4.428 90.00 90.00 120.00
Sites, in units of the cell vectors:
Si  0.333  0.667  0.750
Si  0.667  0.333  0.250
Tc  0.342  0.171  0.750
Tc  0.171  0.342  0.250
Tc  0.829  0.171  0.750
Tc  0.171  0.829  0.250
Tc  0.829  0.658  0.750
Tc  0.658  0.829  0.250